[1]
Material: Ti6Co16Si7
Method: DFT, PBE
State: relaxed

abc: 7.8283 7.8283 7.8283
angles: 60.00 60.00 60.00
Last column: nearest neighbours and their distance in Å.
Positions (direct):
1 Ti 0.2000 0.2000 0.8000  8 Co 2.64-2.74, 4 Si 2.82
2 Ti 0.2000 0.8000 0.2000  8 Co 2.64-2.74, 4 Si 2.82
3 Ti 0.2000 0.8000 0.8000  8 Co 2.64-2.74, 4 Si 2.82
4 Ti 0.8000 0.2000 0.2000  8 Co 2.64-2.74, 4 Si 2.82
5 Ti 0.8000 0.2000 0.8000  8 Co 2.64-2.74, 4 Si 2.82
6 Ti 0.8000 0.8000 0.2000  8 Co 2.64-2.74, 4 Si 2.82
7 Co 0.1426 0.6191 0.6191  4 Si 2.28-2.44, 3 Co 2.49
8 Co 0.1666 0.1666 0.1666  3 Si 2.26, 3 Co 2.49
9 Co 0.1666 0.1666 0.5001  3 Si 2.26, 3 Co 2.49
10 Co 0.1666 0.5001 0.1666  3 Si 2.26, 3 Co 2.49
11 Co 0.3809 0.3809 0.3809  4 Si 2.28-2.44, 3 Co 2.49
12 Co 0.3809 0.3809 0.8574  4 Si 2.28-2.44, 3 Co 2.49
13 Co 0.3809 0.8574 0.3809  4 Si 2.28-2.44, 3 Co 2.49
14 Co 0.5001 0.1666 0.1666  3 Si 2.26, 3 Co 2.49
15 Co 0.4999 0.8334 0.8334  3 Si 2.26, 3 Co 2.49
16 Co 0.6191 0.1426 0.6191  4 Si 2.28-2.44, 3 Co 2.49
17 Co 0.6191 0.6191 0.1426  4 Si 2.28-2.44, 3 Co 2.49
18 Co 0.6191 0.6191 0.6191  4 Si 2.28-2.44, 3 Co 2.49
19 Co 0.8334 0.4999 0.8334  3 Si 2.26, 3 Co 2.49
20 Co 0.8334 0.8334 0.4999  3 Si 2.26, 3 Co 2.49
21 Co 0.8334 0.8334 0.8334  3 Si 2.26, 3 Co 2.49
22 Co 0.8574 0.3809 0.3809  4 Si 2.28-2.44, 3 Co 2.49
23 Si 0.0000 0.0000 0.5000  8 Co 2.26-2.44
24 Si 0.0000 0.5000 0.0000  8 Co 2.26-2.44
25 Si 0.0000 0.5000 0.5000  8 Co 2.26-2.44
26 Si 0.5000 0.0000 0.0000  8 Co 2.26-2.44
27 Si 0.5000 0.0000 0.5000  8 Co 2.26-2.44
28 Si 0.5000 0.5000 0.0000  8 Co 2.26-2.44
29 Si 0.5000 0.5000 0.5000  8 Co 2.28

Properties
SG   Fm-3m
E_form   -0.60 eV/atom
Total DFT energy (no corrections)   -217.1 eV per formula unit

---

[2]
Material: TmCo5Si3
Method: DFT, PBE
State: relaxed

abc: 14.7136 14.7136 3.6641
angles: 90.00 90.00 120.00
Last column: nearest neighbours and their distance in Å.
Positions (direct):
1 Tm 0.1007 0.7066 0.2500  6 Si 2.89-2.93, 9 Co 2.94-3.17
2 Tm 0.2934 0.3941 0.2500  6 Si 2.89-2.93, 9 Co 2.94-3.17
3 Tm 0.3941 0.1007 0.7500  6 Si 2.89-2.93, 9 Co 2.94-3.17
4 Tm 0.6059 0.8993 0.2500  6 Si 2.89-2.93, 9 Co 2.94-3.17
5 Tm 0.7066 0.6059 0.7500  6 Si 2.89-2.93, 9 Co 2.94-3.17
6 Tm 0.8993 0.2934 0.7500  6 Si 2.89-2.93, 9 Co 2.94-3.17
7 Co 0.0289 0.8990 0.2500  3 Si 2.26-2.41, 5 Co 2.51-2.53
8 Co 0.0482 0.2676 0.2500  4 Si 2.26-2.32, 1 Co 2.51
9 Co 0.0744 0.5340 0.7500  4 Si 2.30-2.32, 1 Co 2.50
10 Co 0.1010 0.1299 0.2500  3 Si 2.26-2.41, 5 Co 2.51-2.53
11 Co 0.1299 0.0289 0.7500  3 Si 2.26-2.41, 5 Co 2.51-2.53
12 Co 0.1480 0.4133 0.7500  4 Si 2.31-2.33, 1 Co 2.50
13 Co 0.2194 0.9518 0.2500  4 Si 2.26-2.32, 1 Co 2.51
14 Co 0.2252 0.5724 0.2500  5 Si 2.26-2.38
15 Co 0.2653 0.8520 0.7500  4 Si 2.31-2.33, 1 Co 2.50
16 Co 0.2676 0.2194 0.7500  4 Si 2.26-2.32, 1 Co 2.51
17 Co 0.3472 0.7748 0.2500  5 Si 2.26-2.38
18 Co 0.4133 0.2653 0.2500  4 Si 2.31-2.33, 1 Co 2.50
19 Co 0.4276 0.6528 0.2500  5 Si 2.26-2.38
20 Co 0.4596 0.9256 0.7500  4 Si 2.30-2.32, 1 Co 2.50
21 Co 0.4660 0.5404 0.7500  4 Si 2.30-2.32, 1 Co 2.50
22 Co 0.5340 0.4596 0.2500  4 Si 2.30-2.32, 1 Co 2.50
23 Co 0.5404 0.0744 0.2500  4 Si 2.30-2.32, 1 Co 2.50
24 Co 0.5724 0.3472 0.7500  5 Si 2.26-2.38
25 Co 0.5867 0.7347 0.7500  4 Si 2.31-2.33, 1 Co 2.50
26 Co 0.6528 0.2252 0.7500  5 Si 2.26-2.38
27 Co 0.7324 0.7806 0.2500  4 Si 2.26-2.32, 1 Co 2.51
28 Co 0.7347 0.1480 0.2500  4 Si 2.31-2.33, 1 Co 2.50
29 Co 0.7748 0.4276 0.7500  5 Si 2.26-2.38
30 Co 0.7806 0.0482 0.7500  4 Si 2.26-2.32, 1 Co 2.51
31 Co 0.8520 0.5867 0.2500  4 Si 2.31-2.33, 1 Co 2.50
32 Co 0.8701 0.9711 0.2500  3 Si 2.26-2.41, 5 Co 2.51-2.53
33 Co 0.8990 0.8701 0.7500  3 Si 2.26-2.41, 5 Co 2.51-2.53
34 Co 0.9256 0.4660 0.2500  4 Si 2.30-2.32, 1 Co 2.50
35 Co 0.9518 0.7324 0.7500  4 Si 2.26-2.32, 1 Co 2.51
36 Co 0.9711 0.1010 0.7500  3 Si 2.26-2.41, 5 Co 2.51-2.53
37 Si 0.0615 0.4314 0.2500  7 Co 2.26-2.32
38 Si 0.1180 0.8697 0.7500  7 Co 2.26-2.41
39 Si 0.1303 0.2483 0.7500  7 Co 2.26-2.41
40 Si 0.2384 0.6819 0.7500  6 Co 2.30-2.38
41 Si 0.2483 0.1180 0.2500  7 Co 2.26-2.41
42 Si 0.3181 0.5565 0.7500  6 Co 2.30-2.38
43 Si 0.3699 0.9385 0.2500  7 Co 2.26-2.32
44 Si 0.4314 0.3699 0.7500  7 Co 2.26-2.32
45 Si 0.4435 0.7616 0.7500  6 Co 2.30-2.38
46 Si 0.5565 0.2384 0.2500  6 Co 2.30-2.38
47 Si 0.5686 0.6301 0.2500  7 Co 2.26-2.32
48 Si 0.6301 0.0615 0.7500  7 Co 2.26-2.32
49 Si 0.6819 0.4435 0.2500  6 Co 2.30-2.38
50 Si 0.7517 0.8820 0.7500  7 Co 2.26-2.41
51 Si 0.7616 0.3181 0.2500  6 Co 2.30-2.38
52 Si 0.8697 0.7517 0.2500  7 Co 2.26-2.41
53 Si 0.8820 0.1303 0.2500  7 Co 2.26-2.41
54 Si 0.9385 0.5686 0.7500  7 Co 2.26-2.32

Properties
SG   P6_3/m
E_form   -0.60 eV/atom
Total DFT energy (no corrections)   -61.9 eV per formula unit

---

[3]
Material: TmCoSi
Method: DFT, PBE
State: relaxed

abc: 6.7877 4.1316 6.9445
angles: 90.00 90.00 90.00
Last column: nearest neighbours and their distance in Å.
Positions (direct):
1 Tm 0.0151 0.2500 0.1923  4 Co 2.79-2.89, 6 Si 2.89-3.12
2 Tm 0.4849 0.7500 0.6923  4 Co 2.79-2.89, 6 Si 2.89-3.12
3 Tm 0.5151 0.2500 0.3077  4 Co 2.79-2.89, 6 Si 2.89-3.12
4 Tm 0.9849 0.7500 0.8077  4 Co 2.79-2.89, 6 Si 2.89-3.12
5 Co 0.1478 0.7500 0.4382  4 Si 2.36-2.54
6 Co 0.3522 0.2500 0.9382  4 Si 2.36-2.54
7 Co 0.6478 0.7500 0.0618  4 Si 2.36-2.54
8 Co 0.8522 0.2500 0.5618  4 Si 2.36-2.54
9 Si 0.1976 0.2500 0.6052  4 Co 2.36-2.54
10 Si 0.3024 0.7500 0.1052  4 Co 2.36-2.54
11 Si 0.6976 0.2500 0.8948  4 Co 2.36-2.54
12 Si 0.8024 0.7500 0.3948  4 Co 2.36-2.54

Properties
SG   Pnma
E_form   -0.74 eV/atom
Total DFT energy (no corrections)   -19.3 eV per formula unit

---

[4]
Material: Tm3Co2Si3
Method: DFT, PBE
State: relaxed

abc: 5.5188 5.5188 13.4541
angles: 90.00 90.00 136.87
Last column: nearest neighbours and their distance in Å.
Positions (direct):
1 Tm 0.0804 0.9196 0.6121  6 Si 2.89-3.04, 4 Co 2.95-3.04
2 Tm 0.0804 0.9196 0.8879  6 Si 2.89-3.04, 4 Co 2.95-3.04
3 Tm 0.3620 0.6380 0.7500  5 Si 2.84-3.14, 4 Co 3.13
4 Tm 0.6380 0.3620 0.2500  5 Si 2.84-3.14, 4 Co 3.13
5 Tm 0.9196 0.0804 0.1121  6 Si 2.89-3.04, 4 Co 2.95-3.04
6 Tm 0.9196 0.0804 0.3879  6 Si 2.89-3.04, 4 Co 2.95-3.04
7 Co 0.2131 0.7869 0.0820  4 Si 2.32-2.57
8 Co 0.2131 0.7869 0.4180  4 Si 2.32-2.57
9 Co 0.7869 0.2131 0.5820  4 Si 2.32-2.57
10 Co 0.7869 0.2131 0.9180  4 Si 2.32-2.57
11 Si 0.3318 0.6682 0.2500  2 Co 2.57, 2 Tm 2.84
12 Si 0.3814 0.6186 0.5394  3 Co 2.32-2.38
13 Si 0.3814 0.6186 0.9606  3 Co 2.32-2.38
14 Si 0.6186 0.3814 0.0394  3 Co 2.32-2.38
15 Si 0.6186 0.3814 0.4606  3 Co 2.32-2.38
16 Si 0.6682 0.3318 0.7500  2 Co 2.57, 2 Tm 2.84

Properties
SG   Cmcm
E_form   -0.75 eV/atom
Total DFT energy (no corrections)   -50.1 eV per formula unit

---

[5]
Material: UCo5Si3
Method: DFT, PBE
State: relaxed

abc: 14.6844 14.6844 3.6801
angles: 90.00 90.00 120.00
Last column: nearest neighbours and their distance in Å.
Positions (direct):
1 U 0.1007 0.7118 0.2500  8 Co 2.89-3.20, 6 Si 2.92-2.94
2 U 0.2882 0.3889 0.2500  8 Co 2.89-3.20, 6 Si 2.92-2.94
3 U 0.3889 0.1007 0.7500  8 Co 2.89-3.20, 6 Si 2.92-2.94
4 U 0.6111 0.8993 0.2500  8 Co 2.89-3.20, 6 Si 2.92-2.94
5 U 0.7118 0.6111 0.7500  8 Co 2.89-3.20, 6 Si 2.92-2.94
6 U 0.8993 0.2882 0.7500  8 Co 2.89-3.20, 6 Si 2.92-2.94
7 Co 0.0334 0.9056 0.2500  3 Si 2.24-2.40, 4 Co 2.50
8 Co 0.0403 0.2684 0.2500  4 Si 2.27-2.32
9 Co 0.0749 0.5368 0.7500  4 Si 2.26-2.33
10 Co 0.0944 0.1278 0.2500  3 Si 2.24-2.40, 4 Co 2.50
11 Co 0.1278 0.0334 0.7500  3 Si 2.24-2.40, 4 Co 2.50
12 Co 0.1506 0.4135 0.7500  4 Si 2.31-2.35, 1 Co 2.55
13 Co 0.2251 0.5726 0.2500  5 Si 2.24-2.38
14 Co 0.2280 0.9597 0.2500  4 Si 2.27-2.32
15 Co 0.2629 0.8494 0.7500  4 Si 2.31-2.35, 1 Co 2.55
16 Co 0.2684 0.2280 0.7500  4 Si 2.27-2.32
17 Co 0.3476 0.7749 0.2500  5 Si 2.24-2.38
18 Co 0.4135 0.2629 0.2500  4 Si 2.31-2.35, 1 Co 2.55
19 Co 0.4274 0.6524 0.2500  5 Si 2.24-2.38
20 Co 0.4619 0.9251 0.7500  4 Si 2.26-2.33
21 Co 0.4632 0.5381 0.7500  4 Si 2.26-2.33
22 Co 0.5368 0.4619 0.2500  4 Si 2.26-2.33
23 Co 0.5381 0.0749 0.2500  4 Si 2.26-2.33
24 Co 0.5726 0.3476 0.7500  5 Si 2.24-2.38
25 Co 0.5865 0.7371 0.7500  4 Si 2.31-2.35, 1 Co 2.55
26 Co 0.6524 0.2251 0.7500  5 Si 2.24-2.38
27 Co 0.7316 0.7720 0.2500  4 Si 2.27-2.32
28 Co 0.7371 0.1506 0.2500  4 Si 2.31-2.35, 1 Co 2.55
29 Co 0.7720 0.0403 0.7500  4 Si 2.27-2.32
30 Co 0.7749 0.4274 0.7500  5 Si 2.24-2.38
31 Co 0.8494 0.5865 0.2500  4 Si 2.31-2.35, 1 Co 2.55
32 Co 0.8722 0.9666 0.2500  3 Si 2.24-2.40, 4 Co 2.50
33 Co 0.9056 0.8722 0.7500  3 Si 2.24-2.40, 4 Co 2.50
34 Co 0.9251 0.4632 0.2500  4 Si 2.26-2.33
35 Co 0.9597 0.7316 0.7500  4 Si 2.27-2.32
36 Co 0.9666 0.0944 0.7500  3 Si 2.24-2.40, 4 Co 2.50
37 Si 0.0620 0.4335 0.2500  7 Co 2.24-2.35
38 Si 0.1223 0.2442 0.7500  7 Co 2.24-2.40
39 Si 0.1219 0.8777 0.7500  7 Co 2.24-2.40
40 Si 0.2386 0.6815 0.7500  6 Co 2.28-2.38
41 Si 0.2442 0.1219 0.2500  7 Co 2.24-2.40
42 Si 0.3185 0.5571 0.7500  6 Co 2.28-2.38
43 Si 0.3714 0.9380 0.2500  7 Co 2.24-2.35
44 Si 0.4335 0.3714 0.7500  7 Co 2.24-2.35
45 Si 0.4429 0.7614 0.7500  6 Co 2.28-2.38
46 Si 0.5571 0.2386 0.2500  6 Co 2.28-2.38
47 Si 0.5665 0.6286 0.2500  7 Co 2.24-2.35
48 Si 0.6286 0.0620 0.7500  7 Co 2.24-2.35
49 Si 0.6815 0.4429 0.2500  6 Co 2.28-2.38
50 Si 0.7558 0.8781 0.7500  7 Co 2.24-2.40
51 Si 0.7614 0.3185 0.2500  6 Co 2.28-2.38
52 Si 0.8781 0.1223 0.2500  7 Co 2.24-2.40
53 Si 0.8777 0.7558 0.2500  7 Co 2.24-2.40
54 Si 0.9380 0.5665 0.7500  7 Co 2.24-2.35

Properties
SG   P6_3/m
E_form   -0.48 eV/atom
Total DFT energy (no corrections)   -67.7 eV per formula unit

---

[6]
Material: UCoSi2
Method: DFT, PBE
State: relaxed

abc: 3.9241 16.2075 3.9634
angles: 90.00 90.00 90.00
Last column: nearest neighbours and their distance in Å.
Positions (direct):
1 U 0.0000 0.1056 0.2500  10 Si 2.99-3.06, 4 Co 3.01
2 U 0.0000 0.8944 0.7500  10 Si 2.99-3.06, 4 Co 3.01
3 U 0.5000 0.3944 0.7500  10 Si 2.99-3.06, 4 Co 3.01
4 U 0.5000 0.6056 0.2500  10 Si 2.99-3.06, 4 Co 3.01
5 Co 0.0000 0.3240 0.2500  5 Si 2.22-2.32
6 Co 0.0000 0.6760 0.7500  5 Si 2.22-2.32
7 Co 0.5000 0.1760 0.7500  5 Si 2.22-2.32
8 Co 0.5000 0.8240 0.2500  5 Si 2.22-2.32
9 Si 0.0000 0.2498 0.7500  4 Co 2.30-2.32
10 Si 0.0000 0.4612 0.2500  1 Co 2.22, 2 Si 2.35
11 Si 0.0000 0.5388 0.7500  1 Co 2.22, 2 Si 2.35
12 Si 0.0000 0.7502 0.2500  4 Co 2.30-2.32
13 Si 0.5000 0.0388 0.7500  1 Co 2.22, 2 Si 2.35
14 Si 0.5000 0.2502 0.2500  4 Co 2.30-2.32
15 Si 0.5000 0.7498 0.7500  4 Co 2.30-2.32
16 Si 0.5000 0.9612 0.2500  1 Co 2.22, 2 Si 2.35

Properties
SG   Cmcm
E_form   -0.50 eV/atom
Total DFT energy (no corrections)   -31.4 eV per formula unit

---

[7]
Material: UCoSi
Method: DFT, PBE
State: relaxed

abc: 3.9816 7.1487 7.0277
angles: 90.00 90.00 90.00
Last column: nearest neighbours and their distance in Å.
Positions (direct):
1 U 0.0000 0.0000 0.0000  6 Co 2.87-3.04, 6 Si 2.92-2.93
2 U 0.0000 0.0000 0.5000  6 Co 2.87-3.04, 6 Si 2.92-2.93
3 U 0.5000 0.5000 0.0000  6 Co 2.87-3.04, 6 Si 2.92-2.93
4 U 0.5000 0.5000 0.5000  6 Co 2.87-3.04, 6 Si 2.92-2.93
5 Co 0.0000 0.3471 0.2500  3 Si 2.33-2.35
6 Co 0.0000 0.6529 0.7500  3 Si 2.33-2.35
7 Co 0.5000 0.1529 0.7500  3 Si 2.33-2.35
8 Co 0.5000 0.8471 0.2500  3 Si 2.33-2.35
9 Si 0.0000 0.3264 0.7500  3 Co 2.33-2.35
10 Si 0.0000 0.6736 0.2500  3 Co 2.33-2.35
11 Si 0.5000 0.1736 0.2500  3 Co 2.33-2.35
12 Si 0.5000 0.8264 0.7500  3 Co 2.33-2.35

Properties
SG   Cmcm
E_form   -0.38 eV/atom
Total DFT energy (no corrections)   -25.0 eV per formula unit